No. 1
First-principles (GGA-PBE) data for an optimized crystal structure of ZnC2S2O2F2, as listed in the Materials Project database.

For the total energy after the MP2020 corrections, the calculation gives -4.972 eV per atom. The uncorrected energy is -42.5 eV/f.u. As for the crystal system: triclinic. The calculation puts the formation energy at -0.34 eV per atom.

The space group is P-1 (No. 2) and the conventional cell measures 4.457, 4.592 and 10.297 Å, with angles of 84.99, 79.45 and 64.40 degrees. The asymmetric unit holds Zn at (0.000, 0.000, 0.000), C at (0.236, 0.214, 0.323), S at (0.260, 0.272, 0.154), O at (0.369, 0.739, 0.882) and F at (0.068, 0.764, 0.621).

=====

No. 2
First-principles (GGA-PBE) data for an optimized crystal structure of Ag2Se, as listed in the Materials Project database.

For the total energy after the MP2020 corrections, the calculation gives -3.278 eV per atom. The uncorrected energy is -9.4 eV/f.u. As for the crystal system: orthorhombic. The calculation puts the formation energy at -0.22 eV per atom.

The space group is P2_12_12_1 (No. 19) and the conventional cell measures 4.497, 7.113 and 7.671 Å, with angles of 90.00, 90.00 and 90.00 degrees. The asymmetric unit holds Ag at (0.022, 0.226, 0.365), Ag at (0.155, 0.615, 0.548) and Se at (0.121, 0.997, 0.654).

=====

No. 3
First-principles (GGA-PBE) data for an optimized crystal structure of CsCaCO3F, as listed in the Materials Project database.

For the total energy after the MP2020 corrections, the calculation gives -6.910 eV per atom. The uncorrected energy is -45.8 eV/f.u. As for the crystal system: hexagonal. The calculation puts the formation energy at -2.78 eV per atom.

The space group is P-62m (No. 189) and the conventional cell measures 9.3919, 9.3919 and 4.6028 Å, with angles of 90.00, 90.00 and 120.00 degrees. The asymmetric unit holds Cs at (0.0000, 0.2764, 0.0000), Ca at (0.0000, 0.6105, 0.5000), C at (0.0000, 0.0000, 0.5000), C at (0.3333, 0.6667, 0.5000), O at (0.0000, 0.8618, 0.5000), O at (0.2086, 0.5174, 0.5000) and F at (0.0000, 0.6114, 0.0000).

=====

No. 4
First-principles (GGA-PBE) data for an optimized crystal structure of Cs2CoBr4, as listed in the Materials Project database.

For the total energy after the MP2020 corrections, the calculation gives -3.741 eV per atom. The uncorrected energy is -24.0 eV/f.u. As for the crystal system: orthorhombic. The calculation puts the formation energy at -1.53 eV per atom.

The space group is Pnma (No. 62) and the conventional cell measures 10.466, 7.883 and 14.038 Å, with angles of 90.00, 90.00 and 90.00 degrees. The asymmetric unit holds Cs at (0.015, 0.250, 0.176), Cs at (0.150, 0.750, 0.412), Co at (0.233, 0.750, 0.077), Br at (0.006, 0.750, 0.089), Br at (0.187, 0.004, 0.655) and Br at (0.189, 0.250, 0.416).